(1)
# VOF2 | Materials Project | PBE+U | optimized geometry
# Maximum piezoelectric response (C/m²): 1.83
# VASP energy (eV per atom): -6.4913
data_VOF2
_symmetry_space_group_name_H-M 'C 1 c 1'
_symmetry_Int_Tables_number 9
_symmetry_space_group_name_Hall 'C -2yc'
_cell_length_a 9.065
_cell_length_b 5.203
_cell_length_c 13.386
_cell_angle_alpha 90.00
_cell_angle_beta 91.11
_cell_angle_gamma 90.00
loop_
_atom_site_label
_atom_site_type_symbol
_atom_site_fract_x
_atom_site_fract_y
_atom_site_fract_z
V1 V 0.000 0.005 0.000
V2 V 0.173 0.469 0.666
V3 V 0.332 0.036 0.334
O1 O 0.134 0.217 0.591
O2 O 0.224 0.215 0.259
O3 O 0.391 0.305 0.426
F1 F 0.017 0.402 0.762
F2 F 0.044 0.285 0.097
F3 F 0.182 0.087 0.927
F4 F 0.311 0.290 0.758
F5 F 0.341 0.398 0.090
F6 F 0.472 0.193 0.922

---

(2)
# V3O4F2 | Materials Project | PBE+U | optimized geometry
# Excess energy over the best structure of this formula in the dataset (meV/atom): 8
# VASP energy (eV per atom): -7.3864
# Total moment (μB/f.u.): 5.0
data_V3O4F2
_symmetry_space_group_name_H-M 'P -1'
_symmetry_Int_Tables_number 2
_symmetry_space_group_name_Hall '-P 1'
_cell_length_a 5.583
_cell_length_b 5.591
_cell_length_c 7.304
_cell_angle_alpha 72.89
_cell_angle_beta 72.08
_cell_angle_gamma 72.54
loop_
_atom_site_label
_atom_site_type_symbol
_atom_site_fract_x
_atom_site_fract_y
_atom_site_fract_z
V1 V 0.000 0.000 0.000
V2 V 0.000 0.000 0.500
V3 V 0.297 0.368 0.148
V4 V 0.349 0.355 0.666
O1 O 0.024 0.639 0.171
O2 O 0.108 0.110 0.195
O3 O 0.304 0.707 0.498
O4 O 0.436 0.444 0.874
F1 F 0.238 0.244 0.456
F2 F 0.378 0.964 0.828

---

(3)
# V2O3F3 | Materials Project | PBE+U | optimized geometry
# Excess energy over the best structure of this formula in the dataset (meV/atom): 0
# VASP energy (eV per atom): -6.6437
data_V2O3F3
_symmetry_space_group_name_H-M 'P 1'
_symmetry_Int_Tables_number 1
_symmetry_space_group_name_Hall 'P 1'
_cell_length_a 5.186
_cell_length_b 5.241
_cell_length_c 13.247
_cell_angle_alpha 89.13
_cell_angle_beta 89.17
_cell_angle_gamma 60.49
loop_
_atom_site_label
_atom_site_type_symbol
_atom_site_fract_x
_atom_site_fract_y
_atom_site_fract_z
V1 V 0.000 0.000 0.000
V2 V 0.017 0.954 0.517
V3 V 0.379 0.302 0.841
V4 V 0.411 0.302 0.344
V5 V 0.670 0.634 0.671
V6 V 0.715 0.670 0.182
O1 O 0.119 0.199 0.934
O2 O 0.385 0.710 0.595
O3 O 0.456 0.521 0.261
O4 O 0.596 0.384 0.766
O5 O 0.602 0.956 0.263
O6 O 0.694 0.204 0.424
O7 O 0.701 0.054 0.935
O8 O 0.806 0.868 0.595
O9 O 0.937 0.718 0.101
F1 F 0.012 0.551 0.766
F2 F 0.021 0.380 0.263
F3 F 0.110 0.614 0.425
F4 F 0.267 0.044 0.427
F5 F 0.276 0.633 0.937
F6 F 0.374 0.856 0.100
F7 F 0.434 0.963 0.765
F8 F 0.795 0.282 0.100
F9 F 0.966 0.290 0.597

---

(4)
# VOF2 | Materials Project | PBE+U | optimized geometry
# VASP energy (eV per atom): -6.4952
data_VOF2
_symmetry_space_group_name_H-M 'P 1'
_symmetry_Int_Tables_number 1
_symmetry_space_group_name_Hall 'P 1'
_cell_length_a 5.233
_cell_length_b 5.253
_cell_length_c 13.377
_cell_angle_alpha 90.06
_cell_angle_beta 90.31
_cell_angle_gamma 119.85
loop_
_atom_site_label
_atom_site_type_symbol
_atom_site_fract_x
_atom_site_fract_y
_atom_site_fract_z
V1 V 0.000 0.000 0.000
V2 V 0.006 0.040 0.500
V3 V 0.299 0.657 0.334
V4 V 0.389 0.677 0.833
V5 V 0.646 0.313 0.166
V6 V 0.692 0.335 0.667
O1 O 0.012 0.576 0.259
O2 O 0.092 0.333 0.426
O3 O 0.356 0.103 0.092
O4 O 0.589 0.595 0.755
O5 O 0.704 0.919 0.925
O6 O 0.772 0.120 0.594
F1 F 0.008 0.428 0.764
F2 F 0.122 0.758 0.927
F3 F 0.264 0.926 0.427
F4 F 0.285 0.344 0.925
F5 F 0.344 0.270 0.591
F6 F 0.425 0.017 0.759
F7 F 0.431 0.414 0.263
F8 F 0.599 0.001 0.258
F9 F 0.666 0.754 0.424
F10 F 0.769 0.685 0.097
F11 F 0.933 0.698 0.591
F12 F 0.943 0.267 0.090

---

(5)
# VOF3 | Materials Project | PBE+U | optimized geometry
# VASP energy (eV per atom): -5.8835
# Total moment (μB/f.u.): 0.0
data_VOF3
_symmetry_space_group_name_H-M 'P c a 21'
_symmetry_Int_Tables_number 29
_symmetry_space_group_name_Hall 'P 2c -2ac'
_cell_length_a 7.312
_cell_length_b 5.335
_cell_length_c 8.575
_cell_angle_alpha 90.00
_cell_angle_beta 90.00
_cell_angle_gamma 90.00
loop_
_atom_site_label
_atom_site_type_symbol
_atom_site_fract_x
_atom_site_fract_y
_atom_site_fract_z
V1 V 0.003 0.027 0.000
O1 O 0.023 0.868 0.327
F1 F 0.045 0.726 0.631
F2 F 0.092 0.719 0.987
F3 F 0.235 0.120 0.534

---

(6)
# V2O3F3 | Materials Project | PBE+U | optimized geometry
# Excess energy over the best structure of this formula in the dataset (meV/atom): 15
# VASP energy (eV per atom): -6.6288
# Total moment (μB/f.u.): 1.0
data_V2O3F3
_symmetry_space_group_name_H-M 'P 1'
_symmetry_Int_Tables_number 1
_symmetry_space_group_name_Hall 'P 1'
_cell_length_a 5.185
_cell_length_b 5.250
_cell_length_c 5.349
_cell_angle_alpha 60.81
_cell_angle_beta 89.77
_cell_angle_gamma 60.57
loop_
_atom_site_label
_atom_site_type_symbol
_atom_site_fract_x
_atom_site_fract_y
_atom_site_fract_z
V1 V 0.000 0.000 0.000
V2 V 0.493 0.992 0.521
O1 O 0.158 0.060 0.218
O2 O 0.234 0.066 0.712
O3 O 0.797 0.923 0.717
F1 F 0.320 0.481 0.211
F2 F 0.644 0.499 0.715
F3 F 0.723 0.906 0.227

---

(7)
# V6O5F19 | Materials Project | PBE+U | optimized geometry
# Excess energy over the best structure of this formula in the dataset (meV/atom): 5
# VASP energy (eV per atom): -5.8417
# Total moment (μB/f.u.): 1.0
data_V6O5F19
_symmetry_space_group_name_H-M 'P 1'
_symmetry_Int_Tables_number 1
_symmetry_space_group_name_Hall 'P 1'
_cell_length_a 5.375
_cell_length_b 5.599
_cell_length_c 15.030
_cell_angle_alpha 79.75
_cell_angle_beta 89.71
_cell_angle_gamma 86.99
loop_
_atom_site_label
_atom_site_type_symbol
_atom_site_fract_x
_atom_site_fract_y
_atom_site_fract_z
V1 V 0.000 0.000 0.000
V2 V 0.010 0.656 0.667
V3 V 0.429 0.730 0.334
V4 V 0.455 0.490 0.003
V5 V 0.482 0.113 0.672
V6 V 0.934 0.222 0.340
O1 O 0.167 0.241 0.977
O2 O 0.179 0.896 0.646
O3 O 0.210 0.552 0.321
O4 O 0.270 0.739 0.981
O5 O 0.751 0.999 0.353
F1 F 0.046 0.540 0.783
F2 F 0.062 0.207 0.450
F3 F 0.063 0.874 0.115
F4 F 0.235 0.040 0.310
F5 F 0.270 0.415 0.648
F6 F 0.371 0.037 0.784
F7 F 0.376 0.361 0.115
F8 F 0.415 0.747 0.451
F9 F 0.540 0.134 0.555
F10 F 0.546 0.446 0.893
F11 F 0.559 0.804 0.225
F12 F 0.693 0.120 0.028
F13 F 0.695 0.802 0.693
F14 F 0.699 0.479 0.365
F15 F 0.740 0.606 0.033
F16 F 0.751 0.273 0.699
F17 F 0.889 0.617 0.562
F18 F 0.893 0.943 0.895
F19 F 0.908 0.348 0.224

---

(8)
# V3O4F2 | Materials Project | PBE+U | optimized geometry
# Excess energy over the best structure of this formula in the dataset (meV/atom): 4
# VASP energy (eV per atom): -7.3898
# Total moment (μB/f.u.): 5.0
data_V3O4F2
_symmetry_space_group_name_H-M 'P m n 21'
_symmetry_Int_Tables_number 31
_symmetry_space_group_name_Hall 'P 2ac -2'
_cell_length_a 3.083
_cell_length_b 4.670
_cell_length_c 13.951
_cell_angle_alpha 90.00
_cell_angle_beta 90.00
_cell_angle_gamma 90.00
loop_
_atom_site_label
_atom_site_type_symbol
_atom_site_fract_x
_atom_site_fract_y
_atom_site_fract_z
V1 V 0.000 0.194 0.000
V2 V 0.000 0.251 0.673
V3 V 0.000 0.304 0.348
O1 O 0.000 0.521 0.907
O2 O 0.000 0.554 0.244
O3 O 0.000 0.934 0.108
O4 O 0.000 0.995 0.435
F1 F 0.000 0.578 0.570
F2 F 0.000 0.922 0.776

---

(9)
# V2OF5 | Materials Project | PBE+U | optimized geometry
# Excess energy over the best structure of this formula in the dataset (meV/atom): 40
# VASP energy (eV per atom): -6.2914
# Total moment (μB/f.u.): 3.0
data_V2OF5
_symmetry_space_group_name_H-M 'C 1 c 1'
_symmetry_Int_Tables_number 9
_symmetry_space_group_name_Hall 'C -2yc'
_cell_length_a 6.917
_cell_length_b 6.918
_cell_length_c 17.629
_cell_angle_alpha 90.00
_cell_angle_beta 90.13
_cell_angle_gamma 90.00
loop_
_atom_site_label
_atom_site_type_symbol
_atom_site_fract_x
_atom_site_fract_y
_atom_site_fract_z
V1 V 0.000 0.000 0.000
V2 V 0.008 0.014 0.181
V3 V 0.008 0.491 0.250
V4 V 0.023 0.499 0.931
O1 O 0.007 0.297 0.191
O2 O 0.306 0.500 0.441
F1 F 0.008 0.281 0.687
F2 F 0.008 0.322 0.343
F3 F 0.010 0.328 0.841
F4 F 0.011 0.286 0.005
F5 F 0.011 0.286 0.505
F6 F 0.181 0.001 0.091
F7 F 0.222 0.002 0.255
F8 F 0.228 0.000 0.437
F9 F 0.293 0.498 0.755
F10 F 0.331 0.499 0.593

---

(10)
# V6O7F5 | Materials Project | PBE+U | optimized geometry
# Excess energy over the best structure of this formula in the dataset (meV/atom): 15
# VASP energy (eV per atom): -7.2685
# Total moment (μB/f.u.): 11.0
data_V6O7F5
_symmetry_space_group_name_H-M 'P 1'
_symmetry_Int_Tables_number 1
_symmetry_space_group_name_Hall 'P 1'
_cell_length_a 4.735
_cell_length_b 5.641
_cell_length_c 7.759
_cell_angle_alpha 85.33
_cell_angle_beta 87.26
_cell_angle_gamma 86.31
loop_
_atom_site_label
_atom_site_type_symbol
_atom_site_fract_x
_atom_site_fract_y
_atom_site_fract_z
V1 V 0.000 0.000 0.000
V2 V 0.003 0.334 0.667
V3 V 0.042 0.695 0.348
V4 V 0.494 0.833 0.660
V5 V 0.498 0.163 0.335
V6 V 0.507 0.502 0.005
O1 O 0.198 0.700 0.105
O2 O 0.201 0.376 0.433
O3 O 0.203 0.034 0.768
O4 O 0.300 0.872 0.433
O5 O 0.802 0.303 0.901
O6 O 0.806 0.963 0.236
O7 O 0.809 0.636 0.564
F1 F 0.307 0.535 0.771
F2 F 0.308 0.202 0.101
F3 F 0.697 0.800 0.897
F4 F 0.698 0.134 0.566
F5 F 0.703 0.464 0.236

---

(11)
# VOF2 | Materials Project | PBE+U | optimized geometry
# VASP energy (eV per atom): -6.4888
data_VOF2
_symmetry_space_group_name_H-M 'P 1'
_symmetry_Int_Tables_number 1
_symmetry_space_group_name_Hall 'P 1'
_cell_length_a 5.262
_cell_length_b 5.356
_cell_length_c 12.850
_cell_angle_alpha 92.39
_cell_angle_beta 90.24
_cell_angle_gamma 119.08
loop_
_atom_site_label
_atom_site_type_symbol
_atom_site_fract_x
_atom_site_fract_y
_atom_site_fract_z
V1 V 0.000 0.000 0.000
V2 V 0.006 0.948 0.496
V3 V 0.324 0.614 0.663
V4 V 0.341 0.630 0.164
V5 V 0.656 0.285 0.329
V6 V 0.679 0.278 0.831
O1 O 0.108 0.320 0.589
O2 O 0.260 0.325 0.092
O3 O 0.438 0.989 0.255
O4 O 0.598 0.989 0.754
O5 O 0.830 0.169 0.949
O6 O 0.926 0.651 0.423
F1 F 0.085 0.516 0.788
F2 F 0.146 0.846 0.621
F3 F 0.216 0.800 0.056
F4 F 0.289 0.119 0.890
F5 F 0.415 0.178 0.454
F6 F 0.478 0.516 0.288
F7 F 0.564 0.469 0.725
F8 F 0.619 0.800 0.556
F9 F 0.746 0.847 0.120
F10 F 0.762 0.635 0.922
F11 F 0.897 0.134 0.389
F12 F 0.949 0.470 0.223

---

(12)
# V2O3F | Materials Project | PBE+U | optimized geometry
# Excess energy over the best structure of this formula in the dataset (meV/atom): 50
# VASP energy (eV per atom): -7.4539
# Total moment (μB/f.u.): 3.0
data_V2O3F
_symmetry_space_group_name_H-M 'C m m m'
_symmetry_Int_Tables_number 65
_symmetry_space_group_name_Hall '-C 2 2'
_cell_length_a 6.122
_cell_length_b 13.321
_cell_length_c 6.419
_cell_angle_alpha 90.00
_cell_angle_beta 90.00
_cell_angle_gamma 90.00
loop_
_atom_site_label
_atom_site_type_symbol
_atom_site_fract_x
_atom_site_fract_y
_atom_site_fract_z
V1 V 0.000 0.000 0.000
V2 V 0.000 0.234 0.500
V3 V 0.000 0.500 0.000
V4 V 0.243 0.000 0.500
V5 V 0.250 0.250 0.000
O1 O 0.000 0.097 0.500
O2 O 0.000 0.352 0.000
O3 O 0.246 0.500 0.204
O4 O 0.250 0.250 0.309
F1 F 0.000 0.149 0.000
F2 F 0.000 0.399 0.500

---

Asked for energy relative to the elements across the records above, the calculation gives -2.8538, -2.7086, -2.6552, -2.8577, -2.6829, -2.6403, -2.7348, -2.7120, -3.0049, -2.7467, -2.8513, -2.6200 eV per atom in order.
Asked for calculated volume across the records above, the calculation gives 13.2, 11.2, 13.1, 13.3, 16.7, 13.2, 14.8, 11.2, 13.2, 11.4, 13.2, 10.9 A^3/atom in order.